1.
Computed, not measured: a relaxed Ta4AlC3 crystal at the PBE level of DFT.

Structure (CIF):
```
data_Ta4AlC3
_cell_length_a 3.1075
_cell_length_b 3.1075
_cell_length_c 24.6820
_cell_angle_alpha 90.00
_cell_angle_beta 90.00
_cell_angle_gamma 120.00
_space_group_name_H-M_alt 'P 63/m m c'
_space_group_IT_number 194
_space_group_name_Hall '-P 6c 2c'
loop_
_atom_site_label
_atom_site_type_symbol
_atom_site_fract_x
_atom_site_fract_y
_atom_site_fract_z
Ta1 Ta 0.3333 0.6667 0.0546
Ta2 Ta 0.3333 0.6667 0.6592
Al1 Al 0.3333 0.6667 0.2500
C1 C 0.0000 0.0000 0.0000
C2 C 0.0000 0.0000 0.1103
```

2.
Computed, not measured: a relaxed Ta4AlC3 crystal at the PBE level of DFT.

Structure (CIF):
```
data_Ta4AlC3
_cell_length_a 3.1419
_cell_length_b 3.1419
_cell_length_c 24.2562
_cell_angle_alpha 90.00
_cell_angle_beta 90.00
_cell_angle_gamma 120.00
_space_group_name_H-M_alt 'P 63/m m c'
_space_group_IT_number 194
_space_group_name_Hall '-P 6c 2c'
loop_
_atom_site_label
_atom_site_type_symbol
_atom_site_fract_x
_atom_site_fract_y
_atom_site_fract_z
Ta1 Ta 0.0000 0.0000 0.1573
Ta2 Ta 0.3333 0.6667 0.0552
Al1 Al 0.3333 0.6667 0.2500
C1 C 0.0000 0.0000 0.0000
C2 C 0.3333 0.6667 0.6080
```

Stability comparison, relative energies in kJ/mol of atoms: 1 7.4; 2 0.0

1.
Computed, not measured: a relaxed Zr3Al3C5 crystal at the PBE level of DFT.

Structure (CIF):
```
data_Zr3Al3C5
_cell_length_a 3.3104
_cell_length_b 3.3104
_cell_length_c 29.4001
_cell_angle_alpha 90.00
_cell_angle_beta 90.00
_cell_angle_gamma 120.00
_space_group_name_H-M_alt 'P 63/m m c'
_space_group_IT_number 194
_space_group_name_Hall '-P 6c 2c'
loop_
_atom_site_label
_atom_site_type_symbol
_atom_site_fract_x
_atom_site_fract_y
_atom_site_fract_z
Zr1 Zr 0.0000 0.0000 0.0000
Zr2 Zr 0.3333 0.6667 0.0905
Al1 Al 0.0000 0.0000 0.2500
Al2 Al 0.3333 0.6667 0.1787
C1 C 0.0000 0.0000 0.1497
C2 C 0.3333 0.6667 0.5478
C3 C 0.3333 0.6667 0.7500
```

2.
Computed, not measured: a relaxed Zr3Al3C5 crystal at the PBE level of DFT.

Structure (CIF):
```
data_Zr3Al3C5
_cell_length_a 3.3623
_cell_length_b 3.3623
_cell_length_c 27.7497
_cell_angle_alpha 90.00
_cell_angle_beta 90.00
_cell_angle_gamma 120.00
_space_group_name_H-M_alt 'P 63/m m c'
_space_group_IT_number 194
_space_group_name_Hall '-P 6c 2c'
loop_
_atom_site_label
_atom_site_type_symbol
_atom_site_fract_x
_atom_site_fract_y
_atom_site_fract_z
Zr1 Zr 0.0000 0.0000 0.0000
Zr2 Zr 0.3333 0.6667 0.0957
Al1 Al 0.0000 0.0000 0.2500
Al2 Al 0.3333 0.6667 0.6774
C1 C 0.0000 0.0000 0.1526
C2 C 0.3333 0.6667 0.5502
C3 C 0.3333 0.6667 0.7500
```

Stability comparison, relative energies in kJ/mol of atoms: 1 33.2; 2 0.0

1.
Computed, not measured: a relaxed Cs2CaAl4Si4O16 crystal at the PBE level of DFT.

Structure (CIF):
```
data_Cs2CaAl4Si4O16
_cell_length_a 12.2733
_cell_length_b 12.3634
_cell_length_c 12.4976
_cell_angle_alpha 89.31
_cell_angle_beta 89.86
_cell_angle_gamma 89.47
_space_group_name_H-M_alt 'P 1'
_space_group_IT_number 1
loop_
_space_group_symop_operation_xyz
'x,y,z'
loop_
_atom_site_label
_atom_site_type_symbol
_atom_site_fract_x
_atom_site_fract_y
_atom_site_fract_z
Cs1 Cs 0.0000 0.0000 0.0000
Cs2 Cs 0.0136 0.3488 0.5620
Cs3 Cs 0.2606 0.4882 0.7108
Cs4 Cs 0.5920 0.4182 0.1247
Cs5 Cs 0.6146 0.9219 0.6346
Cs6 Cs 0.8391 0.6382 0.3984
Ca1 Ca 0.2866 0.7378 0.9363
Ca2 Ca 0.2912 0.0890 0.8828
Ca3 Ca 0.9038 0.7103 0.8779
Al1 Al 0.0918 0.0868 0.7330
Al2 Al 0.0920 0.5347 0.9362
Al3 Al 0.1023 0.7112 0.7264
Al4 Al 0.1054 0.2719 0.2913
Al5 Al 0.1135 0.7162 0.4758
Al6 Al 0.1182 0.2714 0.9324
Al7 Al 0.2827 0.5319 0.1089
Al8 Al 0.2857 0.8853 0.7331
Al9 Al 0.4701 0.9110 0.9453
Al10 Al 0.7309 0.8902 0.9272
Al11 Al 0.7319 0.7133 0.1175
Al12 Al 0.9119 0.9158 0.7267
Si1 Si 0.0924 0.5209 0.2947
Si2 Si 0.1123 0.0841 0.4808
Si3 Si 0.2990 0.8985 0.4852
Si4 Si 0.3002 0.2783 0.1096
Si5 Si 0.4698 0.7250 0.1309
Si6 Si 0.4804 0.0945 0.1168
Si7 Si 0.4841 0.9090 0.3016
Si8 Si 0.7358 0.0820 0.1039
Si9 Si 0.7375 0.9064 0.2921
Si10 Si 0.9052 0.5180 0.1175
Si11 Si 0.9234 0.2651 0.1103
Si12 Si 0.9252 0.9110 0.4771
O1 O 0.0003 0.0171 0.4533
O2 O 0.0024 0.2369 0.0093
O3 O 0.0031 0.8083 0.7544
O4 O 0.0612 0.6159 0.8247
O5 O 0.0862 0.6133 0.3844
O6 O 0.0911 0.4011 0.3511
O7 O 0.1026 0.1346 0.6007
O8 O 0.1120 0.6514 0.6020
O9 O 0.1188 0.4051 0.8938
O10 O 0.1198 0.1860 0.4009
O11 O 0.1382 0.1846 0.8245
O12 O 0.1917 0.5346 0.2129
O13 O 0.1972 0.9925 0.7596
O14 O 0.2147 0.5852 0.9929
O15 O 0.2191 0.2651 0.2086
O16 O 0.2198 0.0052 0.4705
O17 O 0.2354 0.7546 0.7659
O18 O 0.2347 0.7898 0.4557
O19 O 0.2444 0.2279 0.0002
O20 O 0.3408 0.4022 0.0878
O21 O 0.3498 0.8946 0.6073
O22 O 0.3669 0.9067 0.8494
O23 O 0.3905 0.6219 0.1286
O24 O 0.4070 0.9185 0.4063
O25 O 0.4149 0.2079 0.1327
O26 O 0.4259 0.8062 0.0334
O27 O 0.4383 0.0390 0.0055
O28 O 0.4614 0.7942 0.2426
O29 O 0.4635 0.0106 0.2176
O30 O 0.5929 0.6842 0.1097
O31 O 0.5955 0.8934 0.8913
O32 O 0.6092 0.1283 0.1062
O33 O 0.6120 0.9133 0.3425
O34 O 0.7551 0.7924 0.2318
O35 O 0.7568 0.0114 0.2140
O36 O 0.7614 0.0088 0.0008
O37 O 0.7828 0.7764 0.0019
O38 O 0.7910 0.5834 0.1339
O39 O 0.8060 0.8691 0.8103
O40 O 0.8139 0.1878 0.1035
O41 O 0.8216 0.9113 0.3917
O42 O 0.8648 0.9156 0.5931
O43 O 0.8730 0.3900 0.1001
O44 O 0.9642 0.0387 0.7667
O45 O 0.9707 0.5647 0.0121
O46 O 0.9744 0.5328 0.2276
O47 O 0.9841 0.2448 0.2223
O48 O 0.9960 0.8013 0.4613
```

2.
Computed, not measured: a relaxed Cs2CaAl4Si4O16 crystal at the PBE level of DFT.

Structure (CIF):
```
data_Cs2CaAl4Si4O16
_cell_length_a 12.2358
_cell_length_b 12.3507
_cell_length_c 12.5517
_cell_angle_alpha 88.45
_cell_angle_beta 89.53
_cell_angle_gamma 89.91
_space_group_name_H-M_alt 'P 1'
_space_group_IT_number 1
loop_
_space_group_symop_operation_xyz
'x,y,z'
loop_
_atom_site_label
_atom_site_type_symbol
_atom_site_fract_x
_atom_site_fract_y
_atom_site_fract_z
Cs1 Cs 0.0000 0.0000 0.0000
Cs2 Cs 0.0173 0.5148 0.4632
Cs3 Cs 0.2653 0.2098 0.4889
Cs4 Cs 0.4068 0.5899 0.8756
Cs5 Cs 0.4984 0.9465 0.4233
Cs6 Cs 0.7194 0.1114 0.5912
Ca1 Ca 0.3255 0.3034 0.7639
Ca2 Ca 0.6708 0.3300 0.7956
Ca3 Ca 0.6973 0.6718 0.7403
Al1 Al 0.1384 0.4701 0.7949
Al2 Al 0.1400 0.2961 0.9863
Al3 Al 0.3150 0.4940 0.5910
Al4 Al 0.4961 0.6668 0.5924
Al5 Al 0.5051 0.2878 0.3394
Al6 Al 0.5063 0.1155 0.8020
Al7 Al 0.5065 0.8447 0.1465
Al8 Al 0.5109 0.2929 0.5873
Al9 Al 0.5214 0.8544 0.7860
Al10 Al 0.6926 0.1095 0.9724
Al11 Al 0.6955 0.4701 0.5885
Al12 Al 0.8728 0.4836 0.8060
Si1 Si 0.1351 0.4860 0.1569
Si2 Si 0.1380 0.6618 0.9646
Si3 Si 0.3126 0.1006 0.9819
Si4 Si 0.3192 0.4802 0.3418
Si5 Si 0.3250 0.8480 0.9642
Si6 Si 0.4970 0.0986 0.1544
Si7 Si 0.5093 0.6580 0.3407
Si8 Si 0.6960 0.4762 0.3448
Si9 Si 0.7011 0.8522 0.9668
Si10 Si 0.8762 0.2986 0.9880
Si11 Si 0.8810 0.6692 0.9723
Si12 Si 0.8819 0.4836 0.1574
O1 O 0.0016 0.2700 0.9623
O2 O 0.0024 0.4676 0.7622
O3 O 0.0071 0.4941 0.2052
O4 O 0.0101 0.7036 0.9612
O5 O 0.1532 0.3731 0.1004
O6 O 0.1557 0.5924 0.0769
O7 O 0.1692 0.5908 0.8630
O8 O 0.1989 0.1662 0.9910
O9 O 0.1990 0.3655 0.8764
O10 O 0.2141 0.4955 0.2605
O11 O 0.2138 0.7706 0.9618
O12 O 0.2152 0.4434 0.6801
O13 O 0.2617 0.4888 0.4598
O14 O 0.2781 0.9736 0.9594
O15 O 0.3721 0.6128 0.6332
O16 O 0.3782 0.1117 0.0926
O17 O 0.3796 0.3635 0.3321
O18 O 0.3856 0.1468 0.8789
O19 O 0.3891 0.8198 0.0720
O20 O 0.4008 0.8234 0.8598
O21 O 0.4040 0.5794 0.3167
O22 O 0.4068 0.3850 0.6093
O23 O 0.4797 0.2099 0.6994
O24 O 0.4994 0.1809 0.2524
O25 O 0.4986 0.7099 0.4584
O26 O 0.5016 0.9746 0.2023
O27 O 0.5037 0.2229 0.4689
O28 O 0.5133 0.7580 0.2575
O29 O 0.5298 0.9897 0.7506
O30 O 0.5421 0.7680 0.6789
O31 O 0.5939 0.1211 0.0693
O32 O 0.6068 0.5764 0.6169
O33 O 0.6221 0.5859 0.3326
O34 O 0.6230 0.3694 0.3289
O35 O 0.6226 0.8306 0.0669
O36 O 0.6321 0.1661 0.8538
O37 O 0.6442 0.8055 0.8569
O38 O 0.6447 0.3378 0.6175
O39 O 0.7399 0.9772 0.9484
O40 O 0.7574 0.4749 0.4618
O41 O 0.7744 0.4854 0.7055
O42 O 0.7976 0.4875 0.2571
O43 O 0.8084 0.1871 0.9989
O44 O 0.8167 0.7828 0.9852
O45 O 0.8206 0.3747 0.8902
O46 O 0.8375 0.6117 0.8640
O47 O 0.8618 0.5863 0.0743
O48 O 0.8665 0.3702 0.0970
```

Stability comparison, relative energies in kJ/mol of atoms: 1 0.0; 2 1.4

1.
Computed, not measured: a relaxed CaAl2H4Pb2O4F6 crystal at the PBE level of DFT.

Structure (CIF):
```
data_CaAl2H4Pb2O4F6
_cell_length_a 5.1384
_cell_length_b 7.7354
_cell_length_c 7.9612
_cell_angle_alpha 117.90
_cell_angle_beta 96.38
_cell_angle_gamma 97.84
_space_group_name_H-M_alt 'P -1'
_space_group_IT_number 2
loop_
_space_group_symop_operation_xyz
'x,y,z'
'-x,-y,-z'
loop_
_atom_site_label
_atom_site_type_symbol
_atom_site_fract_x
_atom_site_fract_y
_atom_site_fract_z
Ca1 Ca 0.0000 0.0000 0.0000
Al1 Al 0.4780 0.7011 0.6438
H1 H 0.1205 0.3666 0.2499
H2 H 0.1340 0.3648 0.5412
Pb1 Pb 0.2997 0.6082 0.1210
O1 O 0.2582 0.3250 0.1719
O2 O 0.3178 0.4250 0.5474
F1 F 0.2372 0.7254 0.4719
F2 F 0.2730 0.7939 0.8272
F3 F 0.3091 0.0475 0.2596
```

2.
Computed, not measured: a relaxed CaAl2H4Pb2O4F6 crystal at the PBE level of DFT.

Structure (CIF):
```
data_CaAl2H4Pb2O4F6
_cell_length_a 4.7463
_cell_length_b 7.5820
_cell_length_c 7.8129
_cell_angle_alpha 110.83
_cell_angle_beta 94.94
_cell_angle_gamma 94.50
_space_group_name_H-M_alt 'P -1'
_space_group_IT_number 2
loop_
_space_group_symop_operation_xyz
'x,y,z'
'-x,-y,-z'
loop_
_atom_site_label
_atom_site_type_symbol
_atom_site_fract_x
_atom_site_fract_y
_atom_site_fract_z
Ca1 Ca 0.0000 0.0000 0.0000
Al1 Al 0.3720 0.3311 0.3476
H1 H 0.1399 0.4950 0.6503
H2 H 0.2399 0.8344 0.5947
Pb1 Pb 0.4433 0.7842 0.2537
O1 O 0.3189 0.4807 0.5936
O2 O 0.4409 0.8447 0.5710
F1 F 0.0431 0.1676 0.3040
F2 F 0.1582 0.4695 0.2453
F3 F 0.4384 0.1837 0.1078
```

3.
Computed, not measured: a relaxed CaAl2H4Pb2O4F6 crystal at the PBE level of DFT.

Structure (CIF):
```
data_CaAl2H4Pb2O4F6
_cell_length_a 4.9840
_cell_length_b 7.7630
_cell_length_c 8.1452
_cell_angle_alpha 61.58
_cell_angle_beta 76.27
_cell_angle_gamma 88.60
_space_group_name_H-M_alt 'P 1'
_space_group_IT_number 1
loop_
_space_group_symop_operation_xyz
'x,y,z'
loop_
_atom_site_label
_atom_site_type_symbol
_atom_site_fract_x
_atom_site_fract_y
_atom_site_fract_z
Ca1 Ca 0.0000 0.0000 0.0000
Al1 Al 0.5548 0.1339 0.6500
Al2 Al 0.8795 0.1299 0.3015
H1 H 0.0036 0.9777 0.6284
H2 H 0.3765 0.2358 0.3392
H3 H 0.4851 0.9480 0.2978
H4 H 0.9386 0.4205 0.5372
Pb1 Pb 0.4255 0.5978 0.6608
Pb2 Pb 0.5494 0.5912 0.2710
O1 O 0.5457 0.2305 0.3867
O2 O 0.6630 0.9031 0.3297
O3 O 0.7367 0.3964 0.5616
O4 O 0.8466 0.0153 0.5695
F1 F 0.1196 0.3304 0.2525
F2 F 0.1761 0.0036 0.2404
F3 F 0.2478 0.2466 0.7210
F4 F 0.2785 0.9219 0.7489
F5 F 0.6056 0.0287 0.8928
F6 F 0.8699 0.2542 0.0494
```

Stability comparison, relative energies in kJ/mol of atoms: 1 0.0; 2 4.7; 3 3.3